Below is an optimized crystal structure of KPrZr4O12, with properties calculated at the PBE level.

Lattice parameters (Å, degrees): 5.865 5.865 8.398 90.00 90.00 89.90
Sites, in units of the cell vectors:
O 0.743 0.257 0.302
O 0.222 0.778 0.234
O 0.722 0.718 0.284
O 0.743 0.257 0.698
O 0.282 0.278 0.716
O 0.282 0.278 0.284
O 0.722 0.718 0.716
O 0.222 0.778 0.766
O 0.528 0.006 0.000
O 0.994 0.472 0.000
O 0.468 0.924 0.500
O 0.076 0.532 0.500
K 0.000 0.000 0.000
Zr 0.003 0.500 0.244
Zr 0.500 0.997 0.244
Zr 0.500 0.997 0.756
Zr 0.003 0.500 0.756
Pr 0.504 0.496 0.500

Output
V = 16.0 Å³ per atom
Corrected total energy (MP2020 scheme) = -154.08 eV per cell
Calculated total energy = -8.10 eV/atom
Space-group type = Amm2 (38)
DFT formation energy = -3.03 eV/atom